# 1
The following is a DFT calculation (PBE) of crystalline PuI4O12 at its relaxed geometry.

Computed properties:
- energy of formation from the pure elements (eV/f.u.) = -21.53
- crystal system = tetragonal

a = 10.1410 Å, b = 10.1410 Å, c = 5.3938 Å
α = 90.00°, β = 90.00°, γ = 90.00°
With the nearest neighbours (Å) after each atom.
Element x y z (fractional)
Pu1 0.2500 0.2500 0.2500  8 O 2.34-2.37
Pu2 0.7500 0.7500 0.7500  8 O 2.34-2.37
I1 0.0215 0.7483 0.2194  3 O 1.81-1.87
I2 0.2483 0.9785 0.7194  3 O 1.81-1.87
I3 0.2517 0.5215 0.7194  3 O 1.81-1.87
I4 0.4785 0.7517 0.2194  3 O 1.81-1.87
I5 0.5215 0.2483 0.7806  3 O 1.81-1.87
I6 0.7483 0.4785 0.2806  3 O 1.81-1.87
I7 0.7517 0.0215 0.2806  3 O 1.81-1.87
I8 0.9785 0.2517 0.7806  3 O 1.81-1.87
O1 0.0606 0.3282 0.0504  1 I 1.85
O2 0.0977 0.3233 0.5543  1 I 1.87
O3 0.1294 0.8469 0.7536  1 I 1.81
O4 0.1531 0.6294 0.2536  1 I 1.81
O5 0.1718 0.0606 0.4496  1 I 1.85
O6 0.1767 0.0977 0.9457  1 I 1.87
O7 0.3233 0.4023 0.9457  1 I 1.87
O8 0.3282 0.4394 0.4496  1 I 1.85
O9 0.3469 0.8706 0.2536  1 I 1.81
O10 0.3706 0.6531 0.7536  1 I 1.81
O11 0.4023 0.1767 0.5543  1 I 1.87
O12 0.4394 0.1718 0.0504  1 I 1.85
O13 0.5606 0.8282 0.9496  1 I 1.85
O14 0.5977 0.8233 0.4457  1 I 1.87
O15 0.6294 0.3469 0.2464  1 I 1.81
O16 0.6531 0.1294 0.7464  1 I 1.81
O17 0.6718 0.5606 0.5504  1 I 1.85
O18 0.6767 0.5977 0.0543  1 I 1.87
O19 0.8233 0.9023 0.0543  1 I 1.87
O20 0.8282 0.9394 0.5504  1 I 1.85
O21 0.8469 0.3706 0.7464  1 I 1.81
O22 0.8706 0.1531 0.2464  1 I 1.81
O23 0.9023 0.6767 0.4457  1 I 1.87
O24 0.9394 0.6718 0.9496  1 I 1.85


# 2
The following is a DFT calculation (PBE) of crystalline PrNb3O9 at its relaxed geometry.

Computed properties:
- energy of formation from the pure elements (eV/f.u.) = -42.18
- polymorph energy (0 for the lowest one) (kJ/mol of formula units) = 0.0
- crystal system = monoclinic

a = 5.4444 Å, b = 7.7379 Å, c = 16.6649 Å
α = 90.00°, β = 92.03°, γ = 90.00°
With the nearest neighbours (Å) after each atom.
Element x y z (fractional)
Pr1 0.0333 0.2500 0.4678  8 O 2.47-2.57
Pr2 0.0333 0.2500 0.9678  8 O 2.47-2.57
Pr3 0.9667 0.7500 0.0322  8 O 2.47-2.57
Pr4 0.9667 0.7500 0.5322  8 O 2.47-2.57
Nb1 0.0084 0.0295 0.2487  2 O 1.82-2.02
Nb2 0.0084 0.4705 0.7487  2 O 1.82-2.02
Nb3 0.4724 0.0172 0.5999  4 O 1.86-2.03
Nb4 0.4724 0.4828 0.0999  4 O 1.86-2.03
Nb5 0.4797 0.5011 0.6003  5 O 1.86-2.08
Nb6 0.4797 0.9989 0.1003  5 O 1.86-2.08
Nb7 0.5203 0.0011 0.8997  5 O 1.86-2.08
Nb8 0.5203 0.4989 0.3997  5 O 1.86-2.08
Nb9 0.5276 0.5172 0.9001  4 O 1.86-2.03
Nb10 0.5276 0.9828 0.4001  4 O 1.86-2.03
Nb11 0.9916 0.5295 0.2513  2 O 1.82-2.02
Nb12 0.9916 0.9705 0.7513  2 O 1.82-2.02
O1 0.0969 0.2449 0.7409  1 Nb 1.82
O2 0.0969 0.2551 0.2409  1 Nb 1.82
O3 0.1503 0.5539 0.6435  2 Nb 2.00-2.04
O4 0.1503 0.9461 0.1435  2 Nb 2.00-2.04
O5 0.1543 0.5615 0.1436  2 Nb 2.00-2.04
O6 0.1543 0.9385 0.6436  2 Nb 2.00-2.04
O7 0.2643 0.5360 0.9830  2 Nb 2.03-2.26
O8 0.2638 0.5375 0.4829  2 Nb 2.02-2.26
O9 0.2638 0.9625 0.9829  2 Nb 2.02-2.26
O10 0.2643 0.9640 0.4830  2 Nb 2.03-2.26
O11 0.3169 0.5487 0.8111  2 Nb 1.86-2.04
O12 0.3169 0.9513 0.3111  2 Nb 1.86-2.04
O13 0.3200 0.5536 0.3102  2 Nb 1.86-2.02
O14 0.3200 0.9464 0.8102  2 Nb 1.86-2.02
O15 0.3515 0.2492 0.0808  2 Nb 1.95-2.08
O16 0.3515 0.2508 0.5808  2 Nb 1.95-2.08
O17 0.4390 0.2486 0.9048  2 Nb 1.97-2.14
O18 0.4390 0.2514 0.4048  2 Nb 1.97-2.14
O19 0.5610 0.7486 0.5952  2 Nb 1.97-2.14
O20 0.5610 0.7514 0.0952  2 Nb 1.97-2.14
O21 0.6485 0.7492 0.4192  2 Nb 1.95-2.08
O22 0.6485 0.7508 0.9192  2 Nb 1.95-2.08
O23 0.6800 0.0536 0.1898  2 Nb 1.86-2.02
O24 0.6800 0.4464 0.6898  2 Nb 1.86-2.02
O25 0.6831 0.0487 0.6889  2 Nb 1.86-2.04
O26 0.6831 0.4513 0.1889  2 Nb 1.86-2.04
O27 0.7357 0.0360 0.5170  2 Nb 2.03-2.26
O28 0.7362 0.0375 0.0171  2 Nb 2.02-2.26
O29 0.7362 0.4625 0.5171  2 Nb 2.02-2.26
O30 0.7357 0.4640 0.0170  2 Nb 2.03-2.26
O31 0.8457 0.0615 0.3564  2 Nb 2.00-2.04
O32 0.8457 0.4385 0.8564  2 Nb 2.00-2.04
O33 0.8497 0.0539 0.8565  2 Nb 2.00-2.04
O34 0.8497 0.4461 0.3565  2 Nb 2.00-2.04
O35 0.9031 0.7449 0.7591  1 Nb 1.82
O36 0.9031 0.7551 0.2591  1 Nb 1.82


# 3
The following is a DFT calculation (PBE) of crystalline In16Bi8Pb3S38 at its relaxed geometry.

Computed properties:
- energy of formation from the pure elements (eV/f.u.) = -48.65
- crystal system = triclinic

a = 7.7860 Å, b = 14.8033 Å, c = 15.0561 Å
α = 114.59°, β = 97.46°, γ = 97.55°
With the nearest neighbours (Å) after each atom.
Element x y z (fractional)
In1 0.0000 0.0000 0.0000  6 S 2.57-2.72
In2 0.0054 0.7487 0.2858  6 S 2.57-2.87
In3 0.1389 0.0390 0.5190  6 S 2.57-2.84
In4 0.1492 0.7900 0.8076  6 S 2.57-2.72
In5 0.3006 0.5528 0.6451  6 S 2.56-2.80
In6 0.3104 0.9743 0.2670  6 S 2.62-2.76
In7 0.3381 0.8148 0.5386  6 S 2.63-2.74
In8 0.3501 0.2366 0.1583  5 S 2.54-2.83
In9 0.5003 0.0021 0.0003  6 S 2.58-2.70
In10 0.5125 0.7488 0.2859  6 S 2.57-2.87
In11 0.6386 0.0390 0.5189  6 S 2.57-2.83
In12 0.6488 0.7895 0.8076  6 S 2.57-2.72
In13 0.7995 0.5526 0.6453  6 S 2.57-2.78
In14 0.8109 0.9740 0.2670  6 S 2.62-2.73
In15 0.8382 0.8147 0.5392  6 S 2.63-2.78
In16 0.8462 0.2366 0.1581  5 S 2.54-2.83
Bi1 0.1718 0.6746 0.0159  3 S 2.68-2.78
Bi2 0.2087 0.4922 0.3424  4 S 2.71-3.02
Bi3 0.4381 0.2943 0.4574  5 S 2.70-2.93
Bi4 0.4761 0.1129 0.7878  3 S 2.74-2.77
Bi5 0.6734 0.6719 0.0239  3 S 2.68-2.75
Bi6 0.7108 0.4958 0.3449  5 S 2.73-3.01
Bi7 0.9383 0.2936 0.4579  5 S 2.70-2.94
Bi8 0.9757 0.1138 0.7854  3 S 2.70-2.73
Pb1 0.0326 0.3752 0.7687  8 S 2.99-3.30
Pb2 0.1162 0.4164 0.0384  7 S 2.97-3.31
Pb3 0.5349 0.3745 0.7732  8 S 2.99-3.33
S1 0.0037 0.8407 0.1737  3 In 2.57-2.68
S2 0.0280 0.6911 0.4254  3 In 2.57-2.69
S3 0.0586 0.1992 0.0376  3 In 2.55-2.72
S4 0.0906 0.5905 0.7684  3 In 2.57-2.72
S5 0.1202 0.0995 0.3817  3 In 2.57-2.71
S6 0.1471 0.9498 0.6340  3 In 2.58-2.70
S7 0.1516 0.2961 0.3130  3 Bi 2.71-2.92, 2 In 2.86
S8 0.2046 0.6353 0.1817  2 In 2.61, 1 Bi 2.78
S9 0.2114 0.9836 0.8719  3 In 2.57-2.67
S10 0.2439 0.3606 0.6100  1 In 2.63, 2 Bi 2.82
S11 0.2737 0.2592 0.8524  2 Bi 2.70-2.77
S12 0.2955 0.0501 0.1375  4 In 2.61-2.69
S13 0.3249 0.8948 0.4036  6 In 2.74-2.87
S14 0.3522 0.7409 0.6704  4 In 2.61-2.68
S15 0.3634 0.5301 0.9529  2 Bi 2.69-2.74
S16 0.4049 0.4291 0.2006  1 In 2.61, 2 Bi 2.71-2.76
S17 0.4365 0.8076 0.9346  3 In 2.58-2.66
S18 0.4448 0.1551 0.6262  2 In 2.62, 1 Bi 2.74
S19 0.4978 0.4921 0.4971  2 Bi 2.70-3.01, 2 In 2.78
S20 0.5042 0.8408 0.1736  3 In 2.57-2.68
S21 0.5289 0.6910 0.4252  3 In 2.57-2.69
S22 0.5569 0.1946 0.0363  3 In 2.54-2.63
S23 0.5899 0.5901 0.7688  3 In 2.56-2.72
S24 0.6201 0.0996 0.3812  3 In 2.57-2.71
S25 0.6446 0.9499 0.6340  3 In 2.58-2.70
S26 0.6525 0.2975 0.3122  3 Bi 2.73-2.94, 2 In 2.83
S27 0.7045 0.6337 0.1839  2 In 2.57, 1 Bi 2.68
S28 0.7138 0.9834 0.8721  3 In 2.57-2.66
S29 0.7415 0.3605 0.6103  1 In 2.63, 2 Bi 2.82-2.83
S30 0.7826 0.2592 0.8526  2 Bi 2.71-2.76
S31 0.7991 0.0499 0.1377  4 In 2.62-2.70
S32 0.8248 0.8977 0.4043  6 In 2.73-2.87
S33 0.8520 0.7405 0.6706  4 In 2.61-2.68
S34 0.8782 0.5298 0.9529  2 Bi 2.68-2.75
S35 0.9091 0.4293 0.2010  1 In 2.61, 2 Bi 2.71-2.75
S36 0.9362 0.8063 0.9341  3 In 2.57-2.66
S37 0.9443 0.1548 0.6239  2 In 2.60-2.61, 1 Bi 2.73
S38 0.9945 0.4920 0.4971  2 Bi 2.70-2.99, 2 In 2.77-2.80


# 4
The following is a DFT calculation (PBE) of crystalline Na3LaZnP2SO12 at its relaxed geometry.

Computed properties:
- energy of formation from the pure elements (eV/f.u.) = -51.52

a = 9.4012 Å, b = 9.3947 Å, c = 23.3156 Å
α = 87.93°, β = 90.00°, γ = 120.02°
With the nearest neighbours (Å) after each atom.
Element x y z (fractional)
O1 0.1040 0.4428 0.8609  1 S 1.48
O2 0.7706 0.7762 0.1942  1 S 1.48
Zn1 0.6538 0.3263 0.6805  5 O 2.11-2.25
O3 0.8717 0.3283 0.5292  1 P 1.55
P1 0.3096 0.3000 0.7560  4 O 1.54-1.58
O4 0.1392 0.4529 0.9649  1 S 1.48
O5 0.3502 0.8867 0.8701  1 P 1.54
O6 0.4919 0.8605 0.0852  1 S 1.49
O7 0.1513 0.6567 0.0827  1 P 1.56
O8 0.8887 0.5304 0.1453  1 P 1.56
P2 0.6429 0.9667 0.4227  4 O 1.54-1.58
Na1 0.3586 0.3524 0.2448  2 O 2.40-2.45
O9 0.6568 0.5285 0.9206  1 P 1.55
La1 0.0152 0.0186 0.6512  6 O 2.24-2.44
O10 0.3674 0.5129 0.0778  1 P 1.57
O11 0.2050 0.1951 0.0872  1 P 1.55
O12 0.8699 0.5534 0.0368  1 P 1.54
O13 0.6835 0.5534 0.5368  1 P 1.54
Zn2 0.9871 0.9930 0.3472  5 O 2.11-2.25
O14 0.0055 0.7762 0.6942  1 S 1.48
La2 0.3368 0.6853 0.8179  6 O 2.24-2.44
Na2 0.0253 0.6857 0.5782  2 O 2.40-2.45
P3 0.9762 0.6334 0.0894  4 O 1.54-1.58
La3 0.6818 0.3519 0.9846  6 O 2.24-2.44
Na3 0.3361 0.6443 0.6553  3 O 2.28-2.46
O15 0.4789 0.1796 0.2444  1 P 1.57
P4 0.3075 0.0186 0.2506  4 O 1.55-1.57
Na4 0.6605 0.6857 0.0782  2 O 2.40-2.45
P5 0.6408 0.6853 0.9173  4 O 1.55-1.57
La4 0.0034 0.0186 0.1512  6 O 2.24-2.44
P6 0.9905 0.3000 0.2560  4 O 1.54-1.58
O16 0.5554 0.8637 0.4786  1 P 1.56
Na5 0.3304 0.2909 0.9098  4 O 2.45-2.50
Na6 0.9938 0.3524 0.7448  2 O 2.40-2.45
La5 0.6701 0.3519 0.4846  6 O 2.24-2.44
O17 0.5054 0.6567 0.5827  1 P 1.56
Zn3 0.0059 0.9930 0.8472  5 O 2.11-2.25
P7 0.3238 0.9667 0.9227  4 O 1.54-1.58
O18 0.2220 0.1971 0.8120  1 P 1.56
O19 0.3083 0.8637 0.9786  1 P 1.56
O20 0.4373 0.1095 0.5276  1 S 1.48
O21 0.1456 0.5129 0.5778  1 P 1.57
O22 0.9902 0.1951 0.5872  1 P 1.55
Na7 0.6637 0.9576 0.5765  4 O 2.45-2.50
P8 0.9742 0.3520 0.5839  4 O 1.55-1.57
S1 0.7053 0.6880 0.2505  4 O 1.48-1.50
O23 0.8716 0.5285 0.4206  1 P 1.55
O24 0.8638 0.3171 0.9208  1 S 1.50
O25 0.1585 0.1938 0.4185  1 S 1.49
O26 0.8178 0.0349 0.8040  1 P 1.56
S2 0.3720 0.0213 0.5838  4 O 1.48-1.50
O27 0.2051 0.9950 0.1959  1 P 1.55
O28 0.4827 0.1424 0.9229  1 P 1.58
O29 0.3686 0.8605 0.5852  1 S 1.49
O30 0.4847 0.3234 0.7494  1 P 1.56
Na8 0.9605 0.2909 0.4098  4 O 2.45-2.50
P9 0.0445 0.6853 0.4173  4 O 1.55-1.57
O31 0.0353 0.1938 0.9185  1 S 1.49
O32 0.8059 0.7862 0.2982  1 S 1.48
O33 0.7866 0.9837 0.0875  1 S 1.50
O34 0.9750 0.1971 0.3120  1 P 1.56
O35 0.6722 0.1095 0.0276  1 S 1.48
O36 0.2170 0.0349 0.3040  1 P 1.56
O37 0.7899 0.9950 0.6959  1 P 1.55
O38 0.1232 0.6617 0.3626  1 P 1.55
Na9 0.0027 0.9777 0.9887  3 O 2.28-2.46
O39 0.5305 0.6504 0.2542  1 S 1.50
Na10 0.6694 0.3110 0.3220  3 O 2.28-2.46
O40 0.1493 0.4757 0.2562  1 P 1.58
S3 0.9826 0.6880 0.7505  4 O 1.48-1.50
O41 0.4845 0.3682 0.1373  1 P 1.56
Na11 0.9971 0.6243 0.2431  4 O 2.45-2.50
Na12 0.6919 0.0190 0.9115  2 O 2.40-2.45
O42 0.4725 0.1195 0.6316  1 S 1.48
O43 0.7007 0.1796 0.7444  1 P 1.57
Na13 0.3271 0.0190 0.4115  2 O 2.40-2.45
O44 0.2032 0.2201 0.7035  1 P 1.54
S4 0.6493 0.0213 0.0838  4 O 1.48-1.50
O45 0.1199 0.6504 0.7542  1 S 1.50
O46 0.6470 0.1195 0.1316  1 S 1.48
O47 0.8160 0.8091 0.5896  1 P 1.58
O48 0.1971 0.9837 0.5875  1 S 1.50
Zn4 0.3204 0.6597 0.0138  5 O 2.11-2.25
P10 0.3778 0.3520 0.0839  4 O 1.55-1.57
Na14 0.9749 0.9777 0.4887  3 O 2.28-2.46
O49 0.3264 0.4757 0.7562  1 P 1.58
O50 0.3235 0.8618 0.2539  1 P 1.55
La6 0.3485 0.6853 0.3179  6 O 2.24-2.44
O51 0.1512 0.7015 0.4707  1 P 1.56
O52 0.3137 0.4529 0.4649  1 S 1.48
O53 0.8387 0.3234 0.2494  1 P 1.56
O54 0.8122 0.8463 0.9111  1 P 1.57
O55 0.5365 0.8867 0.3701  1 P 1.54
O56 0.9804 0.7862 0.7982  1 S 1.48
O57 0.0340 0.8463 0.4111  1 P 1.57
O58 0.3389 0.4428 0.3609  1 S 1.48
S5 0.3160 0.3547 0.4172  4 O 1.48-1.50
Na15 0.2939 0.9576 0.0765  4 O 2.45-2.50
O59 0.6417 0.5304 0.6453  1 P 1.56
Zn5 0.6726 0.3263 0.1805  5 O 2.11-2.25
P11 0.7111 0.0186 0.7506  4 O 1.55-1.57
O60 0.5383 0.8618 0.7539  1 P 1.55
O61 0.8252 0.5272 0.7519  1 S 1.49
Zn6 0.3392 0.6597 0.5138  5 O 2.11-2.25
Na16 0.6416 0.3110 0.8220  3 O 2.28-2.46
O62 0.1720 0.9900 0.9160  1 P 1.56
O63 0.8837 0.3682 0.6373  1 P 1.56
Na17 0.6272 0.6243 0.7431  4 O 2.45-2.50
Na18 0.3082 0.6443 0.1553  3 O 2.28-2.46
O64 0.5384 0.6617 0.8626  1 P 1.55
P12 0.6571 0.6334 0.5894  4 O 1.54-1.58
O65 0.5504 0.7015 0.9707  1 P 1.56
O66 0.4533 0.3171 0.4208  1 S 1.50
O67 0.4566 0.3283 0.0292  1 P 1.55
O68 0.7020 0.5272 0.2519  1 S 1.49
S6 0.0387 0.3547 0.9172  4 O 1.48-1.50
O69 0.8180 0.9900 0.4160  1 P 1.56
O70 0.9931 0.8091 0.0896  1 P 1.58
O71 0.0169 0.2201 0.2035  1 P 1.54
O72 0.6597 0.1424 0.4229  1 P 1.58


# 5
The following is a DFT calculation (PBE) of crystalline CuPO5 at its relaxed geometry.

Computed properties:
- energy of formation from the pure elements (eV/f.u.) = -9.46
- polymorph energy (0 for the lowest one) (kJ/mol of formula units) = 0.0
- crystal system = monoclinic

a = 7.1771 Å, b = 6.5324 Å, c = 8.2598 Å
α = 90.00°, β = 99.62°, γ = 90.00°
With the nearest neighbours (Å) after each atom.
Element x y z (fractional)
Cu1 0.0000 0.0000 0.0000  4 O 1.86-1.87
Cu2 0.0000 0.5000 0.5000  4 O 1.86-1.87
Cu3 0.5000 0.0000 0.0000  4 O 1.79-1.86
Cu4 0.5000 0.5000 0.5000  4 O 1.79-1.86
P1 0.2191 0.1778 0.7403  4 O 1.54-1.57
P2 0.2191 0.3222 0.2403  4 O 1.54-1.57
P3 0.7809 0.6778 0.7597  4 O 1.54-1.57
P4 0.7809 0.8222 0.2597  4 O 1.54-1.57
O1 0.0474 0.1766 0.8351  1 P 1.57
O2 0.0474 0.3234 0.3351  1 P 1.57
O3 0.2023 0.1164 0.1425  1 P 1.56
O4 0.2023 0.3836 0.6425  1 P 1.56
O5 0.2145 0.5172 0.1349  1 P 1.54
O6 0.2145 0.9828 0.6349  1 P 1.54
O7 0.3200 0.6641 0.3959  1 Cu 1.79
O8 0.3200 0.8359 0.8959  1 Cu 1.79
O9 0.4180 0.2062 0.8500  1 P 1.57
O10 0.4180 0.2938 0.3500  1 P 1.57
O11 0.5820 0.7062 0.6500  1 P 1.57
O12 0.5820 0.7938 0.1500  1 P 1.57
O13 0.6800 0.1641 0.1041  1 Cu 1.79
O14 0.6800 0.3359 0.6041  1 Cu 1.79
O15 0.7855 0.0172 0.3651  1 P 1.54
O16 0.7855 0.4828 0.8651  1 P 1.54
O17 0.7977 0.6164 0.3575  1 P 1.56
O18 0.7977 0.8836 0.8575  1 P 1.56
O19 0.9526 0.6766 0.6649  1 P 1.57
O20 0.9526 0.8234 0.1649  1 P 1.57


# 6
The following is a DFT calculation (PBE) of crystalline SmSbO4 at its relaxed geometry.

Computed properties:
- energy of formation from the pure elements (eV/f.u.) = -16.95
- crystal system = monoclinic

a = 7.7352 Å, b = 5.4965 Å, c = 7.6756 Å
α = 90.00°, β = 99.60°, γ = 90.00°
With the nearest neighbours (Å) after each atom.
Element x y z (fractional)
Sm1 0.1469 0.2251 0.3947  5 O 2.30-2.44
Sm2 0.1469 0.2749 0.8947  5 O 2.30-2.44
Sm3 0.8531 0.7251 0.1053  5 O 2.30-2.44
Sm4 0.8531 0.7749 0.6053  5 O 2.30-2.44
Sb1 0.3369 0.7318 0.1958  6 O 1.97-2.05
Sb2 0.3369 0.7682 0.6958  6 O 1.97-2.05
Sb3 0.6631 0.2318 0.3042  6 O 1.97-2.05
Sb4 0.6631 0.2682 0.8042  6 O 1.97-2.05
O1 0.1178 0.5227 0.1737  1 Sb 2.03
O2 0.1178 0.9773 0.6737  1 Sb 2.03
O3 0.1745 0.0030 0.1253  1 Sb 1.97
O4 0.1745 0.4970 0.6253  1 Sb 1.97
O5 0.3300 0.6294 0.9416  2 Sb 2.02-2.04
O6 0.3300 0.8706 0.4416  2 Sb 2.02-2.04
O7 0.4357 0.0918 0.8026  2 Sb 2.01-2.05
O8 0.4357 0.4082 0.3026  2 Sb 2.01-2.05
O9 0.5643 0.5918 0.6974  2 Sb 2.01-2.05
O10 0.5643 0.9082 0.1974  2 Sb 2.01-2.05
O11 0.6700 0.1294 0.5584  2 Sb 2.02-2.04
O12 0.6700 0.3706 0.0584  2 Sb 2.02-2.04
O13 0.8255 0.5030 0.3747  1 Sb 1.97
O14 0.8255 0.9970 0.8747  1 Sb 1.97
O15 0.8822 0.0227 0.3263  1 Sb 2.03
O16 0.8822 0.4773 0.8263  1 Sb 2.03